PBE K4P4O15, relaxed; formation enthalpy at 0 K = -2126 meV per atom; spin magnetization = 12.00 μB per cell; calculated volume = 17.56 A^3/atom; VASP energy = -6.040 eV/atom; mass density = 2.1 Mg/m³
1.0
9.167 -3.509 0.000
9.167 3.509 0.000
-7.328 0.000 12.557
K P O
8 8 30
Cartesian
4.458 2.042 7.418 K
0.421 0.554 7.839 K
2.884 2.042 11.417 K
4.085 -0.554 1.560 K
6.922 0.554 10.996 K
8.122 -2.042 1.139 K
10.586 -0.554 4.718 K
6.548 -2.042 5.139 K
-3.127 0.622 9.775 P
0.536 -0.622 3.497 P
-0.591 0.436 11.364 P
3.073 -0.436 5.086 P
7.934 0.436 7.471 P
11.598 -0.436 1.192 P
10.470 0.622 9.060 P
14.134 -0.622 2.781 P
-0.102 0.706 3.890 O
5.120 2.633 4.274 O
-0.499 1.852 11.954 O
5.440 1.714 1.923 O
-1.500 0.493 10.002 O
9.551 2.633 2.005 O
-3.766 -0.706 10.168 O
2.529 0.655 5.973 O
2.164 -0.493 3.724 O
0.838 0.225 10.826 O
7.841 1.852 6.881 O
9.230 1.714 4.355 O
-1.135 -0.655 12.251 O
4.502 -0.225 4.548 O
7.335 0.246 3.139 O
3.671 -0.246 9.417 O
6.504 0.225 8.009 O
12.142 0.655 0.305 O
1.776 -1.714 8.202 O
3.165 -1.852 5.675 O
10.168 -0.225 1.730 O
8.843 0.493 8.832 O
8.478 -0.655 6.583 O
14.772 0.706 2.389 O
1.456 -2.633 10.552 O
12.507 -0.493 2.554 O
5.566 -1.714 10.633 O
11.505 -1.852 0.603 O
5.887 -2.633 8.283 O
11.108 -0.706 8.667 O